The following is a PBE-GGA calculation of crystalline NaTi2Ga5O12 at its relaxed geometry, from Materials Project.

abc: 9.464 15.936 3.027
angles: 90.00 90.00 90.00
Fractional positions:
Na 0.000 0.000 0.000
Na 0.500 0.500 0.000
Ti 0.229 0.357 0.000
Ti 0.271 0.857 0.000
Ti 0.729 0.143 0.000
Ti 0.771 0.643 0.000
Ga 0.000 0.500 0.500
Ga 0.009 0.200 0.500
Ga 0.195 0.647 0.000
Ga 0.305 0.147 0.000
Ga 0.491 0.700 0.500
Ga 0.500 0.000 0.500
Ga 0.509 0.300 0.500
Ga 0.695 0.853 0.000
Ga 0.805 0.353 0.000
Ga 0.991 0.800 0.500
O 0.106 0.446 0.000
O 0.108 0.144 0.000
O 0.113 0.755 0.000
O 0.138 0.592 0.500
O 0.141 0.296 0.500
O 0.144 0.895 0.500
O 0.356 0.395 0.500
O 0.359 0.796 0.500
O 0.362 0.092 0.500
O 0.387 0.255 0.000
O 0.392 0.644 0.000
O 0.394 0.946 0.000
O 0.606 0.054 0.000
O 0.608 0.356 0.000
O 0.613 0.745 0.000
O 0.638 0.908 0.500
O 0.641 0.204 0.500
O 0.644 0.605 0.500
O 0.856 0.105 0.500
O 0.859 0.704 0.500
O 0.862 0.408 0.500
O 0.887 0.245 0.000
O 0.892 0.856 0.000
O 0.894 0.554 0.000

As for the total magnetization: 0.00 μB/f.u. As for the space-group type: Pbam.

---

The following is a PBE-GGA calculation of crystalline Na6GaP3 at its relaxed geometry, from Materials Project.

abc: 8.052 8.118 16.042
angles: 95.83 94.00 119.65
Fractional positions:
Na 0.000 0.000 0.000
Na 0.001 0.291 0.882
Na 0.063 0.777 0.126
Na 0.081 0.394 0.252
Na 0.124 0.878 0.502
Na 0.144 0.166 0.375
Na 0.216 0.887 0.690
Na 0.297 0.298 0.748
Na 0.313 0.708 0.986
Na 0.338 0.048 0.889
Na 0.411 0.728 0.191
Na 0.413 0.797 0.388
Na 0.416 0.107 0.262
Na 0.526 0.531 0.480
Na 0.543 0.233 0.608
Na 0.603 0.942 0.770
Na 0.619 0.642 0.889
Na 0.703 0.706 0.659
Na 0.729 0.375 0.991
Na 0.731 0.061 0.117
Na 0.734 0.440 0.187
Na 0.814 0.106 0.494
Na 0.836 0.457 0.394
Na 0.917 0.267 0.683
Ga 0.218 0.557 0.595
Ga 0.371 0.378 0.096
Ga 0.774 0.790 0.281
Ga 0.939 0.613 0.787
P 0.067 0.778 0.308
P 0.076 0.389 0.070
P 0.206 0.257 0.564
P 0.246 0.620 0.793
P 0.392 0.093 0.070
P 0.475 0.486 0.293
P 0.489 0.854 0.574
P 0.659 0.320 0.807
P 0.669 0.681 0.081
P 0.753 0.074 0.309
P 0.906 0.543 0.585
P 0.956 0.922 0.815

As for the total magnetization: 0.00 μB/f.u. As for the space-group type: P1.

---

The following is a PBE-GGA calculation of crystalline RbNa8Ga3P6 at its relaxed geometry, from Materials Project.

abc: 22.451 4.743 16.487
angles: 90.00 90.00 90.00
Fractional positions:
Rb 0.000 0.250 0.192
Rb 0.000 0.750 0.808
Rb 0.500 0.250 0.308
Rb 0.500 0.750 0.692
Na 0.039 0.250 0.443
Na 0.052 0.250 0.967
Na 0.057 0.250 0.649
Na 0.159 0.750 0.920
Na 0.163 0.750 0.700
Na 0.181 0.250 0.078
Na 0.181 0.250 0.307
Na 0.192 0.250 0.544
Na 0.308 0.750 0.044
Na 0.319 0.750 0.578
Na 0.319 0.750 0.807
Na 0.337 0.250 0.200
Na 0.341 0.250 0.420
Na 0.443 0.750 0.149
Na 0.448 0.750 0.467
Na 0.461 0.750 0.943
Na 0.539 0.250 0.057
Na 0.552 0.250 0.533
Na 0.557 0.250 0.851
Na 0.659 0.750 0.580
Na 0.663 0.750 0.800
Na 0.681 0.250 0.193
Na 0.681 0.250 0.422
Na 0.692 0.250 0.956
Na 0.808 0.750 0.456
Na 0.819 0.750 0.693
Na 0.819 0.750 0.922
Na 0.837 0.250 0.300
Na 0.841 0.250 0.080
Na 0.943 0.750 0.351
Na 0.948 0.750 0.033
Na 0.961 0.750 0.557
Ga 0.127 0.750 0.191
Ga 0.135 0.750 0.431
Ga 0.216 0.250 0.809
Ga 0.284 0.750 0.309
Ga 0.365 0.250 0.931
Ga 0.373 0.250 0.691
Ga 0.627 0.750 0.309
Ga 0.635 0.750 0.069
Ga 0.716 0.250 0.691
Ga 0.784 0.750 0.191
Ga 0.865 0.250 0.569
Ga 0.873 0.250 0.809
P 0.076 0.750 0.315
P 0.083 0.750 0.066
P 0.090 0.750 0.554
P 0.116 0.250 0.808
P 0.232 0.750 0.187
P 0.238 0.750 0.436
P 0.262 0.250 0.936
P 0.268 0.250 0.687
P 0.384 0.750 0.308
P 0.410 0.250 0.054
P 0.417 0.250 0.566
P 0.424 0.250 0.815
P 0.576 0.750 0.185
P 0.583 0.750 0.434
P 0.590 0.750 0.946
P 0.616 0.250 0.692
P 0.732 0.750 0.313
P 0.738 0.750 0.064
P 0.762 0.250 0.564
P 0.768 0.250 0.813
P 0.884 0.750 0.192
P 0.910 0.250 0.446
P 0.917 0.250 0.934
P 0.924 0.250 0.685

As for the total magnetization: 0.00 μB/f.u. As for the space-group type: Pnma.

---

The following is a PBE-GGA calculation of crystalline Na3GaS3 at its relaxed geometry, from Materials Project.

abc: 7.245 7.004 14.661
angles: 90.00 119.16 90.00
Fractional positions:
Na 0.067 0.037 0.293
Na 0.067 0.463 0.793
Na 0.269 0.502 0.611
Na 0.269 0.998 0.111
Na 0.308 0.001 0.604
Na 0.308 0.499 0.104
Na 0.692 0.501 0.896
Na 0.692 0.999 0.396
Na 0.731 0.002 0.889
Na 0.731 0.498 0.389
Na 0.933 0.537 0.207
Na 0.933 0.963 0.707
Ga 0.333 0.643 0.418
Ga 0.333 0.857 0.918
Ga 0.667 0.143 0.082
Ga 0.667 0.357 0.582
S 0.053 0.742 0.928
S 0.053 0.758 0.428
S 0.344 0.745 0.274
S 0.344 0.755 0.774
S 0.352 0.193 0.929
S 0.352 0.307 0.429
S 0.648 0.693 0.571
S 0.648 0.807 0.071
S 0.656 0.245 0.226
S 0.656 0.255 0.726
S 0.947 0.242 0.572
S 0.947 0.258 0.072

As for the space-group type: P2_1/c.

---

The following is a PBE-GGA calculation of crystalline Na3GaS3 at its relaxed geometry, from Materials Project.

abc: 13.819 12.203 7.703
angles: 90.00 98.38 90.00
Fractional positions:
Na 0.014 0.249 0.003
Na 0.014 0.251 0.503
Na 0.194 0.519 0.581
Na 0.194 0.981 0.081
Na 0.241 0.692 0.036
Na 0.241 0.808 0.536
Na 0.243 0.172 0.494
Na 0.243 0.328 0.994
Na 0.367 0.088 0.890
Na 0.367 0.412 0.390
Na 0.474 0.736 0.916
Na 0.474 0.764 0.416
Na 0.526 0.236 0.584
Na 0.526 0.264 0.084
Na 0.633 0.588 0.610
Na 0.633 0.912 0.110
Na 0.757 0.672 0.006
Na 0.757 0.828 0.505
Na 0.759 0.192 0.464
Na 0.759 0.308 0.964
Na 0.806 0.019 0.919
Na 0.806 0.481 0.419
Na 0.986 0.749 0.497
Na 0.986 0.751 0.997
Ga 0.074 0.508 0.179
Ga 0.074 0.992 0.679
Ga 0.433 0.022 0.317
Ga 0.433 0.478 0.817
Ga 0.567 0.522 0.183
Ga 0.567 0.978 0.683
Ga 0.926 0.008 0.321
Ga 0.926 0.492 0.821
S 0.098 0.502 0.880
S 0.098 0.998 0.380
S 0.123 0.670 0.298
S 0.123 0.830 0.798
S 0.148 0.141 0.812
S 0.148 0.359 0.312
S 0.369 0.186 0.236
S 0.369 0.314 0.736
S 0.386 0.610 0.617
S 0.386 0.890 0.117
S 0.395 0.533 0.091
S 0.395 0.967 0.591
S 0.605 0.033 0.409
S 0.605 0.467 0.909
S 0.614 0.110 0.883
S 0.614 0.390 0.383
S 0.631 0.686 0.264
S 0.631 0.814 0.764
S 0.852 0.641 0.688
S 0.852 0.859 0.188
S 0.877 0.170 0.202
S 0.877 0.330 0.702
S 0.902 0.002 0.620
S 0.902 0.498 0.120

As for the space-group type: P2_1/c.

---

The following is a PBE-GGA calculation of crystalline Na3GaSe3 at its relaxed geometry, from Materials Project.

abc: 7.576 7.350 15.278
angles: 90.00 119.34 90.00
Fractional positions:
Na 0.060 0.029 0.287
Na 0.060 0.471 0.787
Na 0.272 0.004 0.107
Na 0.272 0.496 0.607
Na 0.314 0.504 0.105
Na 0.314 0.996 0.605
Na 0.686 0.004 0.395
Na 0.686 0.496 0.895
Na 0.728 0.504 0.393
Na 0.728 0.996 0.893
Na 0.940 0.529 0.213
Na 0.940 0.971 0.713
Ga 0.333 0.644 0.418
Ga 0.333 0.856 0.918
Ga 0.667 0.144 0.082
Ga 0.667 0.356 0.582
Se 0.049 0.739 0.929
Se 0.049 0.761 0.429
Se 0.344 0.749 0.272
Se 0.344 0.751 0.772
Se 0.346 0.195 0.926
Se 0.346 0.305 0.426
Se 0.654 0.695 0.574
Se 0.654 0.805 0.074
Se 0.656 0.249 0.228
Se 0.656 0.251 0.728
Se 0.951 0.239 0.571
Se 0.951 0.261 0.071

As for the space-group type: P2_1/c.

---

The following is a PBE-GGA calculation of crystalline Na2Ga2Se3 at its relaxed geometry, from Materials Project.

abc: 7.025 7.025 8.710
angles: 97.65 97.65 121.03
Fractional positions:
Na 0.000 0.000 0.000
Na 0.167 0.833 0.500
Na 0.500 0.500 0.500
Na 0.833 0.167 0.500
Ga 0.285 0.618 0.854
Ga 0.382 0.715 0.146
Ga 0.618 0.285 0.854
Ga 0.715 0.382 0.146
Se 0.086 0.428 0.262
Se 0.254 0.254 0.739
Se 0.428 0.086 0.262
Se 0.572 0.914 0.738
Se 0.746 0.746 0.261
Se 0.914 0.572 0.738

As for the space-group type: C2/m.

---

The following is a PBE-GGA calculation of crystalline Na10Ga6Sn3 at its relaxed geometry, from Materials Project.

abc: 14.641 14.641 9.043
angles: 90.00 90.00 90.00
Fractional positions:
Na 0.000 0.500 0.250
Na 0.000 0.500 0.750
Na 0.007 0.276 0.193
Na 0.007 0.276 0.807
Na 0.090 0.090 0.000
Na 0.133 0.315 0.500
Na 0.185 0.633 0.000
Na 0.224 0.507 0.307
Na 0.224 0.507 0.693
Na 0.236 0.764 0.316
Na 0.236 0.764 0.684
Na 0.264 0.264 0.184
Na 0.264 0.264 0.816
Na 0.276 0.007 0.193
Na 0.276 0.007 0.807
Na 0.315 0.133 0.500
Na 0.367 0.815 0.000
Na 0.410 0.590 0.500
Na 0.493 0.776 0.307
Na 0.493 0.776 0.693
Na 0.500 0.000 0.250
Na 0.500 0.000 0.750
Na 0.507 0.224 0.307
Na 0.507 0.224 0.693
Na 0.590 0.410 0.500
Na 0.633 0.185 0.000
Na 0.685 0.867 0.500
Na 0.724 0.993 0.193
Na 0.724 0.993 0.807
Na 0.736 0.736 0.184
Na 0.736 0.736 0.816
Na 0.764 0.236 0.316
Na 0.764 0.236 0.684
Na 0.776 0.493 0.307
Na 0.776 0.493 0.693
Na 0.815 0.367 0.000
Na 0.867 0.685 0.500
Na 0.910 0.910 0.000
Na 0.993 0.724 0.193
Na 0.993 0.724 0.807
Ga 0.042 0.825 0.500
Ga 0.065 0.935 0.260
Ga 0.065 0.935 0.740
Ga 0.110 0.110 0.349
Ga 0.110 0.110 0.651
Ga 0.175 0.958 0.500
Ga 0.325 0.458 0.000
Ga 0.390 0.610 0.151
Ga 0.390 0.610 0.849
Ga 0.435 0.435 0.240
Ga 0.435 0.435 0.760
Ga 0.458 0.325 0.000
Ga 0.542 0.675 0.000
Ga 0.565 0.565 0.240
Ga 0.565 0.565 0.760
Ga 0.610 0.390 0.151
Ga 0.610 0.390 0.849
Ga 0.675 0.542 0.000
Ga 0.825 0.042 0.500
Ga 0.890 0.890 0.349
Ga 0.890 0.890 0.651
Ga 0.935 0.065 0.260
Ga 0.935 0.065 0.740
Ga 0.958 0.175 0.500
Sn 0.085 0.641 0.500
Sn 0.141 0.415 0.000
Sn 0.142 0.858 0.000
Sn 0.358 0.358 0.500
Sn 0.359 0.915 0.500
Sn 0.415 0.141 0.000
Sn 0.585 0.859 0.000
Sn 0.641 0.085 0.500
Sn 0.642 0.642 0.500
Sn 0.858 0.142 0.000
Sn 0.859 0.585 0.000
Sn 0.915 0.359 0.500

As for the total magnetization: 0.00 μB/f.u. As for the space-group type: P4_2/mnm.

---

Summary of calculated volume in Å³/cell
456.6 897.8 1755.4 649.7 1285.1 741.5 354.5 1938.5
(order as listed above)
Summary of mass density in g/cm3
4.80 2.22 2.51 2.40 2.43 3.36 3.96 3.44
(order as listed above)
Summary of energy of formation from the pure elements in meV/atom
-2631.2 -363.8 -416.4 -1247.8 -1247.4 -1168.8 -1058.6 -193.5
(order as listed above)